The following is a GGA-PBE calculation of a relaxed KNa2GaF6 crystal, from the Materials Project database.

abc: 6.1846 6.1846 6.1846
angles: 60.00 60.00 60.00
Sites, in units of the cell vectors:
K 0.0000 0.0000 0.0000
Na 0.2500 0.2500 0.2500
Na 0.7500 0.7500 0.7500
Ga 0.5000 0.5000 0.5000
F 0.2811 0.2811 0.7189
F 0.2811 0.7189 0.2811
F 0.2811 0.7189 0.7189
F 0.7189 0.2811 0.2811
F 0.7189 0.2811 0.7189
F 0.7189 0.7189 0.2811

Results
- Energy of formation from the pure elements: -2.875 eV/atom
- E: -4.42 eV/atom

***

The following is a GGA-PBE calculation of a relaxed KGaPO4F crystal, from the Materials Project database.

abc: 12.9152 6.3815 10.5950
angles: 90.00 90.00 90.00
Sites, in units of the cell vectors:
K 0.1043 0.1953 0.0000
K 0.1203 0.7754 0.7436
K 0.3797 0.2754 0.2436
K 0.3957 0.6953 0.5000
K 0.6043 0.3047 0.0000
K 0.6203 0.7246 0.7436
K 0.8797 0.2246 0.2436
K 0.8957 0.8047 0.5000
Ga 0.1118 0.4947 0.4425
Ga 0.2461 0.7521 0.1917
Ga 0.2539 0.2521 0.6917
Ga 0.3882 0.9947 0.9425
Ga 0.6118 0.0053 0.4425
Ga 0.7461 0.7479 0.1917
Ga 0.7539 0.2479 0.6917
Ga 0.8882 0.5053 0.9425
P 0.0002 0.3288 0.6932
P 0.9998 0.6712 0.1932
P 0.1831 0.0007 0.4441
P 0.3169 0.5007 0.9441
P 0.5002 0.1712 0.6932
P 0.4998 0.8288 0.1932
P 0.6831 0.4993 0.4441
P 0.8169 0.9993 0.9441
O 0.0114 0.5302 0.3124
O 0.0145 0.4839 0.5811
O 0.0957 0.8122 0.1726
O 0.0982 0.1915 0.7111
O 0.1134 0.8085 0.4735
O 0.1136 0.1919 0.4155
O 0.2431 0.4518 0.8311
O 0.2437 0.5419 0.0591
O 0.2563 0.0419 0.5591
O 0.2569 0.9518 0.3311
O 0.3864 0.6919 0.9155
O 0.3866 0.3085 0.9735
O 0.4018 0.6915 0.2111
O 0.4043 0.3122 0.6726
O 0.4855 0.9839 0.0811
O 0.4886 0.0302 0.8124
O 0.5114 0.9698 0.3124
O 0.5145 0.0161 0.5811
O 0.5957 0.6878 0.1726
O 0.5982 0.3085 0.7111
O 0.6134 0.6915 0.4735
O 0.6136 0.3081 0.4155
O 0.7431 0.0482 0.8311
O 0.7437 0.9581 0.0591
O 0.7563 0.4581 0.5591
O 0.7569 0.5482 0.3311
O 0.8864 0.8081 0.9155
O 0.8866 0.1915 0.9735
O 0.9018 0.8085 0.2111
O 0.9043 0.1878 0.6726
O 0.9855 0.5161 0.0811
O 0.9886 0.4698 0.8124
F 0.2275 0.4821 0.5713
F 0.2292 0.5258 0.3208
F 0.2708 0.0258 0.8208
F 0.2725 0.9821 0.0713
F 0.7275 0.0179 0.5713
F 0.7292 0.9742 0.3208
F 0.7708 0.4742 0.8208
F 0.7725 0.5179 0.0713

Results
- Energy of formation from the pure elements: -2.720 eV/atom
- E: -6.23 eV/atom

***

The following is a GGA-PBE calculation of a relaxed KRb2GaF6 crystal, from the Materials Project database.

abc: 6.3524 6.3524 6.3524
angles: 60.00 60.00 60.00
Sites, in units of the cell vectors:
K 0.0000 0.0000 0.0000
Rb 0.2500 0.2500 0.2500
Rb 0.7500 0.7500 0.7500
Ga 0.5000 0.5000 0.5000
F 0.2849 0.2849 0.7151
F 0.2849 0.7151 0.2849
F 0.2849 0.7151 0.7151
F 0.7151 0.2849 0.2849
F 0.7151 0.2849 0.7151
F 0.7151 0.7151 0.2849

Results
- Energy of formation from the pure elements: -3.068 eV/atom
- E: -4.55 eV/atom

***

The following is a GGA-PBE calculation of a relaxed KRb2GaF6 crystal, from the Materials Project database.

abc: 10.8872 10.8872 10.8872
angles: 99.87 99.87 131.09
Sites, in units of the cell vectors:
K 0.0000 0.0000 0.0000
K 0.2325 0.4112 0.6437
K 0.4112 0.7675 0.1786
K 0.5888 0.2325 0.8214
K 0.7675 0.5888 0.3563
Rb 0.0150 0.3331 0.8939
Rb 0.1212 0.0150 0.6819
Rb 0.2500 0.7500 0.5000
Rb 0.3331 0.4393 0.3181
Rb 0.4393 0.1212 0.1061
Rb 0.5607 0.8788 0.8939
Rb 0.6669 0.5607 0.6819
Rb 0.7500 0.2500 0.5000
Rb 0.8788 0.9850 0.3181
Rb 0.9850 0.6669 0.1061
Ga 0.0954 0.6964 0.7918
Ga 0.3036 0.0954 0.3990
Ga 0.5000 0.5000 0.0000
Ga 0.6964 0.9046 0.6010
Ga 0.9046 0.3036 0.2082
F 0.0364 0.3459 0.3823
F 0.0515 0.8269 0.8784
F 0.0840 0.8798 0.3966
F 0.1202 0.5168 0.2042
F 0.1381 0.5674 0.7055
F 0.1731 0.0515 0.2247
F 0.2266 0.7425 0.9691
F 0.2575 0.2266 0.4841
F 0.2866 0.2866 0.0000
F 0.3126 0.9160 0.7958
F 0.3459 0.9636 0.3095
F 0.3772 0.5642 0.9414
F 0.4326 0.1381 0.5707
F 0.4358 0.3772 0.8130
F 0.4832 0.6874 0.6034
F 0.5168 0.3126 0.3966
F 0.5642 0.6228 0.1870
F 0.5674 0.8619 0.4293
F 0.6228 0.4358 0.0586
F 0.6541 0.0364 0.6905
F 0.6874 0.0840 0.2042
F 0.7134 0.7134 0.0000
F 0.7425 0.7734 0.5159
F 0.7734 0.2575 0.0309
F 0.8269 0.9485 0.7753
F 0.8619 0.4326 0.2945
F 0.8798 0.4832 0.7958
F 0.9160 0.1202 0.6034
F 0.9485 0.1731 0.1216
F 0.9636 0.6541 0.6177

Results
- Energy of formation from the pure elements: -3.068 eV/atom
- E: -4.55 eV/atom

***

The following is a GGA-PBE calculation of a relaxed K2TlGaF6 crystal, from the Materials Project database.

abc: 6.4378 6.4378 6.4378
angles: 60.00 60.00 60.00
Sites, in units of the cell vectors:
K 0.2500 0.2500 0.2500
K 0.7500 0.7500 0.7500
Tl 0.0000 0.0000 0.0000
Ga 0.5000 0.5000 0.5000
F 0.2884 0.2884 0.7116
F 0.2884 0.7116 0.2884
F 0.2884 0.7116 0.7116
F 0.7116 0.2884 0.2884
F 0.7116 0.2884 0.7116
F 0.7116 0.7116 0.2884

Results
- Energy of formation from the pure elements: -2.811 eV/atom
- E: -4.44 eV/atom

***

The following is a GGA-PBE calculation of a relaxed KTl2GaF6 crystal, from the Materials Project database.

abc: 6.3263 6.3263 6.3263
angles: 60.00 60.00 60.00
Sites, in units of the cell vectors:
K 0.0000 0.0000 0.0000
Tl 0.2500 0.2500 0.2500
Tl 0.7500 0.7500 0.7500
Ga 0.5000 0.5000 0.5000
F 0.2846 0.2846 0.7154
F 0.2846 0.7154 0.2846
F 0.2846 0.7154 0.7154
F 0.7154 0.2846 0.2846
F 0.7154 0.2846 0.7154
F 0.7154 0.7154 0.2846

Results
- Energy of formation from the pure elements: -2.644 eV/atom
- E: -4.40 eV/atom

***

Q: E of number 4 (KRb2GaF6)?
A: -4.55 eV/atom